(1)
The following is a DFT calculation (PBE-GGA) of crystalline Na3Li3In2F12 at its relaxed geometry.

Results
Energy of formation from the pure elements ... -60.33 eV per formula unit

Cell lengths 11.168, 11.168, 11.168 Å; angles 109.47, 109.47, 109.47 degrees
Fractional coordinates of all 80 atoms:
Na  0.125  0.250  0.375
Na  0.125  0.375  0.750
Na  0.250  0.375  0.125
Na  0.250  0.875  0.625
Na  0.375  0.125  0.250
Na  0.375  0.750  0.125
Na  0.625  0.250  0.875
Na  0.625  0.875  0.750
Na  0.750  0.125  0.375
Na  0.750  0.625  0.875
Na  0.875  0.625  0.250
Na  0.875  0.750  0.625
Li  0.125  0.750  0.875
Li  0.125  0.875  0.250
Li  0.250  0.125  0.875
Li  0.250  0.625  0.375
Li  0.375  0.250  0.625
Li  0.375  0.625  0.750
Li  0.625  0.375  0.250
Li  0.625  0.750  0.375
Li  0.750  0.375  0.625
Li  0.750  0.875  0.125
Li  0.875  0.125  0.750
Li  0.875  0.250  0.125
In  0.000  0.000  0.000
In  0.000  0.000  0.500
In  0.000  0.500  0.000
In  0.000  0.500  0.500
In  0.500  0.000  0.000
In  0.500  0.000  0.500
In  0.500  0.500  0.000
In  0.500  0.500  0.500
F  0.023  0.205  0.122
F  0.023  0.318  0.901
F  0.083  0.705  0.682
F  0.083  0.878  0.401
F  0.099  0.622  0.417
F  0.099  0.977  0.682
F  0.122  0.023  0.205
F  0.122  0.599  0.917
F  0.182  0.205  0.583
F  0.182  0.477  0.599
F  0.205  0.122  0.023
F  0.205  0.583  0.182
F  0.295  0.318  0.917
F  0.295  0.477  0.378
F  0.318  0.901  0.023
F  0.318  0.917  0.295
F  0.378  0.295  0.477
F  0.378  0.583  0.901
F  0.401  0.083  0.878
F  0.401  0.818  0.523
F  0.417  0.099  0.622
F  0.417  0.818  0.795
F  0.477  0.378  0.295
F  0.477  0.599  0.182
F  0.523  0.401  0.818
F  0.523  0.622  0.705
F  0.583  0.182  0.205
F  0.583  0.901  0.378
F  0.599  0.182  0.477
F  0.599  0.917  0.122
F  0.622  0.417  0.099
F  0.622  0.705  0.523
F  0.682  0.083  0.705
F  0.682  0.099  0.977
F  0.705  0.523  0.622
F  0.705  0.682  0.083
F  0.795  0.417  0.818
F  0.795  0.878  0.977
F  0.818  0.523  0.401
F  0.818  0.795  0.417
F  0.878  0.401  0.083
F  0.878  0.977  0.795
F  0.901  0.023  0.318
F  0.901  0.378  0.583
F  0.917  0.122  0.599
F  0.917  0.295  0.318
F  0.977  0.682  0.099
F  0.977  0.795  0.878


(2)
The following is a DFT calculation (PBE-GGA) of crystalline Rb2LiInF6 at its relaxed geometry.

Results
Energy of formation from the pure elements ... -30.14 eV per formula unit

Cell lengths 6.059, 6.059, 6.059 Å; angles 60.00, 60.00, 60.00 degrees
Fractional coordinates of all 10 atoms:
Rb  0.250  0.250  0.250
Rb  0.750  0.750  0.750
Li  0.000  0.000  0.000
In  0.500  0.500  0.500
F  0.253  0.253  0.747
F  0.253  0.747  0.253
F  0.253  0.747  0.747
F  0.747  0.253  0.253
F  0.747  0.253  0.747
F  0.747  0.747  0.253


(3)
The following is a DFT calculation (PBE-GGA) of crystalline Li4ZnIn2F12 at its relaxed geometry.

Results
Energy of formation from the pure elements ... -55.83 eV per formula unit

Cell lengths 5.086, 4.873, 18.059 Å; angles 90.00, 90.00, 90.00 degrees
Fractional coordinates of all 38 atoms:
Li  0.000  0.000  0.000
Li  0.000  0.000  0.155
Li  0.000  0.000  0.479
Li  0.000  0.500  0.500
Li  0.000  0.500  0.655
Li  0.000  0.500  0.979
Li  0.500  0.000  0.412
Li  0.500  0.500  0.912
Zn  0.500  0.000  0.247
Zn  0.500  0.500  0.747
In  0.000  0.000  0.825
In  0.000  0.500  0.325
In  0.500  0.000  0.586
In  0.500  0.500  0.086
F  0.160  0.233  0.913
F  0.160  0.267  0.413
F  0.165  0.243  0.076
F  0.165  0.257  0.576
F  0.167  0.240  0.243
F  0.167  0.260  0.743
F  0.309  0.705  0.996
F  0.309  0.795  0.496
F  0.328  0.736  0.665
F  0.328  0.764  0.165
F  0.333  0.732  0.829
F  0.333  0.768  0.329
F  0.667  0.232  0.329
F  0.667  0.268  0.829
F  0.672  0.236  0.165
F  0.672  0.264  0.665
F  0.691  0.205  0.496
F  0.691  0.295  0.996
F  0.833  0.740  0.743
F  0.833  0.760  0.243
F  0.835  0.743  0.576
F  0.835  0.757  0.076
F  0.840  0.733  0.413
F  0.840  0.767  0.913